DFT (GGA-PBE) results for Na3La2In2P3S3O24 after structural relaxation.

energy of formation	-2559	meV/atom
V	16.028	A^3/atom
energy	-734.84	eV/cell
space group	P1, No. 1

Geometry as POSCAR:
```
Na3La2In2P3S3O24
1.0
9.198 0.000 0.000
4.588 7.989 0.000
0.430 0.208 24.211
Na La In P S O
9 6 6 9 9 72
Cartesian
0.000 0.000 0.000
0.291 0.200 12.189
2.035 2.657 22.248
4.741 2.735 8.090
5.209 2.843 20.287
9.350 5.442 16.235
9.157 5.284 3.907
11.056 7.962 14.183
12.166 5.520 1.939
4.666 2.786 4.289
4.917 2.767 16.703
4.826 2.660 11.796
9.330 5.412 12.541
9.456 5.470 7.535
13.811 8.012 8.459
0.145 0.050 3.485
5.073 2.992 23.785
9.136 5.249 0.256
9.586 5.519 19.822
13.965 8.124 20.645
9.471 0.172 15.870
1.831 2.689 1.834
3.341 0.365 14.238
6.039 5.162 1.875
7.701 2.669 14.219
10.734 7.882 10.149
8.225 3.176 22.125
11.409 8.006 18.201
12.274 5.500 22.218
12.535 5.719 5.814
3.500 5.309 14.190
6.330 5.919 18.267
7.399 8.028 5.917
6.548 5.391 10.035
8.211 7.909 22.159
6.019 0.240 1.870
7.967 2.426 5.885
10.804 2.972 10.051
10.732 2.519 18.292
3.798 6.439 7.099
1.277 1.716 19.519
0.921 1.442 2.042
4.127 6.663 14.287
2.748 2.965 3.048
3.812 4.479 15.361
3.969 4.682 12.929
3.005 2.706 18.211
3.921 4.168 22.334
2.692 2.445 0.543
3.087 2.899 10.031
3.975 4.311 5.864
5.274 6.535 2.001
1.821 0.172 14.430
5.819 6.619 19.467
6.714 8.105 22.043
5.740 6.638 10.071
6.516 8.005 4.726
2.045 0.120 7.183
6.027 6.659 17.004
3.536 1.123 12.899
5.286 4.448 0.707
5.697 4.569 18.222
3.709 1.221 5.885
5.658 4.206 10.036
4.018 1.144 15.382
4.223 1.300 22.289
5.900 4.354 3.177
8.474 7.093 23.367
7.381 5.404 11.264
7.393 5.337 8.821
8.212 6.779 5.892
7.821 5.776 18.331
8.767 7.286 20.931
7.553 5.377 1.642
8.681 6.983 14.173
5.488 1.292 10.030
6.687 2.972 22.322
6.780 2.869 15.431
5.901 1.271 18.169
6.485 2.516 5.877
5.490 0.808 3.126
5.714 1.105 0.700
6.836 2.484 12.936
8.424 4.058 20.863
10.035 6.849 1.716
10.363 7.199 11.491
10.252 7.048 8.934
8.662 3.866 14.137
8.566 3.788 5.864
10.534 6.711 18.326
8.933 3.784 23.364
8.334 1.754 7.157
7.757 0.211 19.398
8.460 1.678 4.700
7.521 0.078 1.964
12.186 7.862 16.843
8.478 1.316 14.338
12.277 8.021 10.151
10.065 3.858 18.354
8.959 1.782 21.978
10.985 5.584 5.807
11.211 5.522 14.142
10.184 4.005 1.707
11.469 5.741 23.531
11.336 5.232 21.011
10.341 3.670 11.275
10.370 3.704 8.833
10.223 1.859 17.057
13.218 6.726 22.056
12.917 6.496 4.516
10.216 1.608 10.067
```